a | Cs2LiTm2W4O16: optimized geometry, GGA+U.

a = 7.445 Å, b = 7.532 Å, c = 7.980 Å
α = 62.62°, β = 87.95°, γ = 62.48°
Atoms (fractional coordinates):
Cs: 0.000 0.000 0.000
Cs: 0.455 0.440 0.690
Li: 0.217 0.871 0.367
Tm: 0.465 0.966 0.642
Tm: 0.969 0.490 0.044
W: 0.522 0.441 0.160
W: 0.526 0.937 0.161
W: 0.905 0.032 0.540
W: 0.933 0.531 0.524
O: 0.194 0.336 0.518
O: 0.199 0.934 0.582
O: 0.252 0.116 0.172
O: 0.252 0.523 0.079
O: 0.448 0.672 0.232
O: 0.474 0.003 0.909
O: 0.579 0.200 0.433
O: 0.586 0.602 0.927
O: 0.595 0.164 0.108
O: 0.615 0.784 0.458
O: 0.824 0.680 0.222
O: 0.841 0.859 0.767
O: 0.845 0.270 0.250
O: 0.851 0.304 0.577
O: 0.968 0.455 0.781
O: 0.995 0.785 0.457

Values from the calculation:
- crystal system = triclinic

b | Cs2LiTm2W4O16: optimized geometry, GGA+U.

a = 7.506 Å, b = 7.525 Å, c = 7.857 Å
α = 90.36°, β = 116.46°, γ = 116.75°
Atoms (fractional coordinates):
Cs: 0.000 0.000 0.000
Cs: 0.484 0.430 0.581
Li: 0.650 0.277 0.877
Tm: 0.007 0.457 0.611
Tm: 0.488 0.947 0.023
W: 0.064 0.509 0.138
W: 0.465 0.920 0.499
W: 0.555 0.521 0.106
W: 0.964 0.905 0.507
O: 0.053 0.176 0.591
O: 0.117 0.830 0.733
O: 0.190 0.972 0.434
O: 0.220 0.626 0.448
O: 0.304 0.814 0.194
O: 0.325 0.456 0.181
O: 0.393 0.603 0.887
O: 0.454 0.243 0.015
O: 0.545 0.997 0.761
O: 0.638 0.172 0.468
O: 0.689 0.843 0.556
O: 0.723 0.845 0.227
O: 0.787 0.581 0.392
O: 0.806 0.581 0.054
O: 0.862 0.254 0.149
O: 0.949 0.444 0.856

Values from the calculation:
- crystal system = triclinic

Most stable structure, least stable structure: a, b.

a | Cu3NiF6: optimized geometry, GGA+U.

a = 5.269 Å, b = 6.156 Å, c = 6.822 Å
α = 87.14°, β = 69.58°, γ = 67.65°
Atoms (fractional coordinates):
Cu: 0.000 0.000 0.000
Cu: 0.000 0.500 0.500
Cu: 0.500 0.000 0.000
Ni: 0.500 0.500 0.000
F: 0.130 0.685 0.946
F: 0.289 0.359 0.250
F: 0.437 0.780 0.180
F: 0.563 0.220 0.820
F: 0.711 0.641 0.750
F: 0.870 0.315 0.054

Values from the calculation:
- crystal system = triclinic

b | Cu3NiF6: optimized geometry, GGA+U.

a = 5.315 Å, b = 6.659 Å, c = 12.954 Å
α = 85.89°, β = 82.94°, γ = 67.77°
Atoms (fractional coordinates):
Cu: 0.000 0.000 0.000
Cu: 0.000 0.500 0.500
Cu: 0.500 0.000 0.000
Ni: 0.000 0.500 0.000
F: 0.036 0.520 0.364
F: 0.122 0.713 0.045
F: 0.317 0.273 0.050
F: 0.683 0.727 0.950
F: 0.878 0.287 0.955
F: 0.964 0.480 0.636

Values from the calculation:
- crystal system = triclinic

Most stable structure, least stable structure: a, b.

a | Li4Nb2Fe3Cu3O16: optimized geometry, GGA+U.

a = 5.947 Å, b = 5.955 Å, c = 9.736 Å
α = 89.58°, β = 89.72°, γ = 60.15°
Atoms (fractional coordinates):
Li: 0.000 0.000 0.000
Li: 0.001 0.002 0.502
Li: 0.323 0.322 0.910
Li: 0.658 0.659 0.415
Nb: 0.327 0.330 0.506
Nb: 0.665 0.663 0.006
Fe: 0.168 0.653 0.228
Fe: 0.654 0.167 0.228
Fe: 0.824 0.825 0.725
Cu: 0.166 0.167 0.225
Cu: 0.335 0.824 0.726
Cu: 0.824 0.335 0.726
O: 0.001 0.999 0.313
O: 0.031 0.483 0.358
O: 0.158 0.662 0.600
O: 0.164 0.163 0.603
O: 0.325 0.326 0.121
O: 0.331 0.815 0.097
O: 0.478 0.033 0.356
O: 0.479 0.477 0.352
O: 0.514 0.513 0.851
O: 0.515 0.956 0.853
O: 0.658 0.658 0.622
O: 0.662 0.158 0.600
O: 0.821 0.329 0.098
O: 0.827 0.828 0.103
O: 0.957 0.514 0.853
O: 0.996 0.996 0.813

Values from the calculation:
- crystal system = triclinic

b | Li4Nb2Fe3Cu3O16: optimized geometry, GGA+U.

a = 5.919 Å, b = 5.974 Å, c = 9.785 Å
α = 87.72°, β = 89.52°, γ = 60.69°
Atoms (fractional coordinates):
Li: 0.000 0.000 0.000
Li: 0.005 0.990 0.503
Li: 0.327 0.340 0.587
Li: 0.653 0.694 0.088
Nb: 0.334 0.346 0.997
Nb: 0.665 0.651 0.494
Fe: 0.166 0.180 0.273
Fe: 0.658 0.175 0.276
Fe: 0.827 0.351 0.775
Cu: 0.166 0.666 0.276
Cu: 0.336 0.836 0.779
Cu: 0.825 0.841 0.774
O: 0.016 0.008 0.691
O: 0.030 0.504 0.147
O: 0.126 0.228 0.914
O: 0.174 0.690 0.894
O: 0.330 0.338 0.382
O: 0.333 0.845 0.401
O: 0.474 0.499 0.148
O: 0.477 0.053 0.146
O: 0.501 0.961 0.656
O: 0.552 0.478 0.633
O: 0.647 0.681 0.876
O: 0.660 0.176 0.898
O: 0.826 0.844 0.403
O: 0.837 0.340 0.392
O: 0.959 0.541 0.649
O: 0.998 0.010 0.185

Values from the calculation:
- crystal system = triclinic

Most stable structure, least stable structure: b, a.

a | Li2Fe3CuO8: optimized geometry, GGA+U.

a = 5.924 Å, b = 5.924 Å, c = 6.013 Å
α = 120.14°, β = 120.14°, γ = 60.14°
Atoms (fractional coordinates):
Li: 0.000 0.500 0.000
Li: 0.500 0.000 0.000
Fe: 0.000 0.000 0.500
Fe: 0.000 0.500 0.500
Fe: 0.500 0.000 0.500
Cu: 0.500 0.500 0.500
O: 0.238 0.238 0.721
O: 0.238 0.752 0.710
O: 0.248 0.762 0.290
O: 0.271 0.271 0.288
O: 0.729 0.729 0.712
O: 0.752 0.238 0.710
O: 0.762 0.248 0.290
O: 0.762 0.762 0.279

Values from the calculation:
- crystal system = monoclinic

b | Li2Fe3CuO8: optimized geometry, GGA+U.

a = 8.352 Å, b = 8.393 Å, c = 8.418 Å
α = 90.02°, β = 90.02°, γ = 90.05°
Atoms (fractional coordinates):
Li: 0.000 0.000 0.000
Li: 0.003 0.499 0.501
Li: 0.130 0.128 0.374
Li: 0.373 0.626 0.628
Li: 0.500 0.999 0.499
Li: 0.503 0.499 0.998
Li: 0.631 0.871 0.128
Li: 0.876 0.372 0.872
Fe: 0.128 0.369 0.127
Fe: 0.129 0.624 0.869
Fe: 0.132 0.873 0.627
Fe: 0.372 0.372 0.375
Fe: 0.377 0.125 0.131
Fe: 0.377 0.869 0.874
Fe: 0.629 0.373 0.631
Fe: 0.629 0.629 0.374
Fe: 0.633 0.126 0.874
Fe: 0.873 0.626 0.126
Fe: 0.876 0.873 0.371
Fe: 0.877 0.129 0.627
Cu: 0.251 0.252 0.749
Cu: 0.256 0.753 0.255
Cu: 0.750 0.745 0.754
Cu: 0.756 0.246 0.249
O: 0.112 0.113 0.631
O: 0.114 0.609 0.113
O: 0.117 0.870 0.394
O: 0.124 0.641 0.644
O: 0.132 0.389 0.887
O: 0.137 0.865 0.863
O: 0.140 0.146 0.124
O: 0.148 0.376 0.360
O: 0.356 0.877 0.640
O: 0.360 0.643 0.877
O: 0.368 0.364 0.136
O: 0.372 0.891 0.114
O: 0.381 0.141 0.356
O: 0.388 0.369 0.609
O: 0.392 0.112 0.889
O: 0.394 0.611 0.371
O: 0.613 0.886 0.868
O: 0.615 0.387 0.390
O: 0.621 0.130 0.107
O: 0.626 0.359 0.854
O: 0.634 0.606 0.617
O: 0.636 0.135 0.636
O: 0.641 0.853 0.378
O: 0.649 0.622 0.139
O: 0.858 0.123 0.858
O: 0.863 0.353 0.623
O: 0.866 0.633 0.366
O: 0.871 0.109 0.390
O: 0.882 0.856 0.145
O: 0.891 0.627 0.890
O: 0.891 0.888 0.615
O: 0.892 0.387 0.130

Values from the calculation:
- crystal system = triclinic

c | Li2Fe3CuO8: optimized geometry, GGA+U.

a = 5.929 Å, b = 5.929 Å, c = 5.929 Å
α = 60.34°, β = 60.34°, γ = 60.34°
Atoms (fractional coordinates):
Li: 0.127 0.127 0.127
Li: 0.873 0.873 0.873
Fe: 0.000 0.500 0.500
Fe: 0.500 0.000 0.500
Fe: 0.500 0.500 0.000
Cu: 0.500 0.500 0.500
O: 0.262 0.262 0.262
O: 0.265 0.265 0.714
O: 0.265 0.714 0.265
O: 0.286 0.735 0.735
O: 0.714 0.265 0.265
O: 0.735 0.286 0.735
O: 0.735 0.735 0.286
O: 0.738 0.738 0.738

Values from the calculation:
- crystal system = trigonal

Most stable structure, least stable structure: c, a.